Entry 1:
This record from the Materials Project describes a relaxed LiRhO2 crystal. The functional is GGA-PBE.

## Properties
- electronic total energy (Ry/atom) = -0.44060
- energy of formation (kJ/mol of atoms) = -149
- calculated volume (Å³ per atom) = 10.0

Lattice parameters (Å, degrees): 8.610 8.610 8.610 90.00 90.00 90.00
Space group Fd-3m (No. 227, origin choice 2)
One atom of each set of equivalent atoms:
1 Li 0.000 0.000 0.000 (multiplicity 16)
2 Rh 0.000 0.000 0.500 (multiplicity 16)
3 O 0.008 0.008 0.742 (multiplicity 32)



Entry 2:
This record from the Materials Project describes a relaxed LiRuRhO4 crystal. The functional is GGA-PBE.

## Properties
- electronic total energy (Ry/atom) = -0.48244
- energy of formation (kJ/mol of atoms) = -143
- calculated volume (Å³ per atom) = 11.2
- size of the total moment (μB per formula unit) = 2.0

Lattice parameters (Å, degrees): 5.963 6.178 8.544 90.00 90.00 90.00
Space group Imma (No. 74)
One atom of each set of equivalent atoms:
1 Li 0.000 0.250 0.126 (multiplicity 4)
2 Ru 0.250 0.250 0.750 (multiplicity 4)
3 Rh 0.000 0.000 0.500 (multiplicity 4)
4 O 0.000 0.022 0.743 (multiplicity 8)
5 O 0.230 0.250 0.513 (multiplicity 8)



Entry 3:
This record from the Materials Project describes a relaxed Li2RuO3 crystal. The functional is GGA-PBE.

## Properties
- electronic total energy (Ry/atom) = -0.45359
- energy of formation (kJ/mol of atoms) = -179
- calculated volume (Å³ per atom) = 9.3

Lattice parameters (Å, degrees): 5.111 8.840 5.202 90.00 109.10 90.00
Space group C2/m (No. 12)
One atom of each set of equivalent atoms:
1 Li 0.000 0.000 0.000 (multiplicity 2)
2 Li 0.000 0.161 0.500 (multiplicity 4)
3 Li 0.000 0.500 0.500 (multiplicity 2)
4 Ru 0.000 0.334 0.000 (multiplicity 4)
5 O 0.235 0.500 0.238 (multiplicity 4)
6 O 0.250 0.172 0.236 (multiplicity 8)



Entry 4:
This record from the Materials Project describes a relaxed Li3Ru2O6 crystal. The functional is GGA-PBE.

## Properties
- electronic total energy (Ry/atom) = -0.43871
- energy of formation (kJ/mol of atoms) = -139
- calculated volume (Å³ per atom) = 8.6
- size of the total moment (μB per formula unit) = 1.0

Lattice parameters (Å, degrees): 6.171 10.657 6.129 90.00 110.35 90.00
Space group C2/c (No. 15)
One atom of each set of equivalent atoms:
1 Li 0.000 0.105 0.250 (multiplicity 4)
2 Li 0.000 0.247 0.750 (multiplicity 4)
3 Li 0.250 0.250 0.500 (multiplicity 4)
4 Ru 0.241 0.417 0.001 (multiplicity 8)
5 O 0.118 0.076 0.630 (multiplicity 8)
6 O 0.119 0.422 0.631 (multiplicity 8)
7 O 0.135 0.245 0.115 (multiplicity 8)



Entry 5:
This record from the Materials Project describes a relaxed Li3RuO4 crystal. The functional is GGA-PBE.

## Properties
- electronic total energy (Ry/atom) = -0.43701
- energy of formation (kJ/mol of atoms) = -187
- calculated volume (Å³ per atom) = 9.3

Lattice parameters (Å, degrees): 5.182 5.941 5.131 90.00 110.08 90.00
Space group P2/c (No. 13)
One atom of each set of equivalent atoms:
1 Li 0.000 0.109 0.250 (multiplicity 2)
2 Li 0.000 0.368 0.750 (multiplicity 2)
3 Li 0.500 0.121 0.750 (multiplicity 2)
4 Ru 0.500 0.357 0.250 (multiplicity 2)
5 O 0.258 0.140 0.018 (multiplicity 4)
6 O 0.273 0.387 0.495 (multiplicity 4)



Entry 6:
This record from the Materials Project describes a relaxed Li11Ru8O24 crystal. The functional is GGA-PBE.

## Properties
- electronic total energy (Ry/atom) = -0.46414
- energy of formation (kJ/mol of atoms) = -166
- calculated volume (Å³ per atom) = 10.2
- size of the total moment (μB per formula unit) = 6.3

Lattice parameters (Å, degrees): 5.092 8.780 9.959 98.75 94.62 91.46
Space group P1 (No. 1)
One atom of each set of equivalent atoms:
1 Li 0.000 0.000 0.000 (multiplicity 1)
2 Li 0.007 0.330 0.997 (multiplicity 1)
3 Li 0.227 0.932 0.497 (multiplicity 1)
4 Li 0.262 0.554 0.491 (multiplicity 1)
5 Li 0.463 0.180 0.000 (multiplicity 1)
6 Li 0.497 0.503 0.995 (multiplicity 1)
7 Li 0.506 0.829 0.998 (multiplicity 1)
8 Li 0.720 0.422 0.499 (multiplicity 1)
9 Li 0.731 0.755 0.498 (multiplicity 1)
10 Li 0.798 0.091 0.505 (multiplicity 1)
11 Li 0.961 0.680 0.993 (multiplicity 1)
12 Ru 0.114 0.466 0.748 (multiplicity 1)
13 Ru 0.117 0.789 0.746 (multiplicity 1)
14 Ru 0.336 0.702 0.245 (multiplicity 1)
15 Ru 0.391 0.054 0.251 (multiplicity 1)
16 Ru 0.607 0.273 0.747 (multiplicity 1)
17 Ru 0.619 0.978 0.750 (multiplicity 1)
18 Ru 0.848 0.206 0.248 (multiplicity 1)
19 Ru 0.894 0.558 0.247 (multiplicity 1)
20 O 0.019 0.400 0.352 (multiplicity 1)
21 O 0.072 0.074 0.351 (multiplicity 1)
22 O 0.073 0.726 0.381 (multiplicity 1)
23 O 0.159 0.533 0.112 (multiplicity 1)
24 O 0.169 0.179 0.136 (multiplicity 1)
25 O 0.207 0.861 0.135 (multiplicity 1)
26 O 0.269 0.652 0.874 (multiplicity 1)
27 O 0.314 0.326 0.864 (multiplicity 1)
28 O 0.318 0.970 0.864 (multiplicity 1)
29 O 0.421 0.424 0.644 (multiplicity 1)
30 O 0.422 0.792 0.637 (multiplicity 1)
31 O 0.455 0.098 0.617 (multiplicity 1)
32 O 0.519 0.894 0.357 (multiplicity 1)
33 O 0.571 0.577 0.358 (multiplicity 1)
34 O 0.585 0.219 0.380 (multiplicity 1)
35 O 0.657 0.681 0.134 (multiplicity 1)
36 O 0.660 0.036 0.116 (multiplicity 1)
37 O 0.715 0.363 0.138 (multiplicity 1)
38 O 0.781 0.153 0.882 (multiplicity 1)
39 O 0.812 0.460 0.859 (multiplicity 1)
40 O 0.815 0.830 0.861 (multiplicity 1)
41 O 0.905 0.289 0.642 (multiplicity 1)
42 O 0.918 0.932 0.632 (multiplicity 1)
43 O 0.964 0.601 0.618 (multiplicity 1)